Record 1
VASP calculation (PBE) on a relaxed NaH5SO4 crystal.

abc: 21.5604 5.9917 7.6263
angles: 75.76 90.00 90.00
Closest atoms and distances in Å follow each position.
Sites, in units of the cell vectors:
Na1 0.6594 0.7250 0.9180  6 O 2.41-2.52
Na2 0.1594 0.2750 0.5820  6 O 2.41-2.52
Na3 0.3406 0.2750 0.0820  6 O 2.41-2.52
Na4 0.8406 0.7250 0.4180  6 O 2.41-2.52
Na5 0.5918 0.2554 0.7851  5 O 2.35-2.45
Na6 0.0918 0.7446 0.7149  5 O 2.35-2.45
Na7 0.4082 0.7446 0.2149  5 O 2.35-2.45
Na8 0.9082 0.2554 0.2851  5 O 2.35-2.45
H1 0.7784 0.4768 0.8699  1 O 0.99
H2 0.2784 0.5232 0.6301  1 O 0.99
H3 0.2216 0.5232 0.1301  1 O 0.99
H4 0.7216 0.4768 0.3699  1 O 0.99
H5 0.7897 0.7418 0.8127  1 O 0.99
H6 0.2897 0.2582 0.6873  1 O 0.99
H7 0.2103 0.2582 0.1873  1 O 0.99
H8 0.7103 0.7418 0.3127  1 O 0.99
H9 0.7281 0.1385 0.7556  1 O 0.99
H10 0.2281 0.8615 0.7444  1 O 0.99
H11 0.2719 0.8615 0.2444  1 O 0.99
H12 0.7719 0.1385 0.2556  1 O 0.99
H13 0.6895 0.1113 0.5879  1 O 0.98
H14 0.1895 0.8887 0.9121  1 O 0.98
H15 0.3105 0.8887 0.4121  1 O 0.98
H16 0.8105 0.1113 0.0879  1 O 0.98
H17 0.6703 0.6124 0.5642  1 O 1.00
H18 0.1703 0.3876 0.9358  1 O 1.00
H19 0.3297 0.3876 0.4358  1 O 1.00
H20 0.8297 0.6124 0.0642  1 O 1.00
H21 0.6097 0.7537 0.5742  1 O 0.99
H22 0.1097 0.2463 0.9258  1 O 0.99
H23 0.3903 0.2463 0.4258  1 O 0.99
H24 0.8903 0.7537 0.0742  1 O 0.99
H25 0.5168 0.8520 0.8145  1 O 0.99
H26 0.0168 0.1480 0.6855  1 O 0.99
H27 0.4832 0.1480 0.1855  1 O 0.99
H28 0.9832 0.8520 0.3145  1 O 0.99
H29 0.5378 0.7857 0.0183  1 O 0.99
H30 0.0378 0.2143 0.4817  1 O 0.99
H31 0.4622 0.2143 0.9817  1 O 0.99
H32 0.9622 0.7857 0.5183  1 O 0.99
H33 0.9629 0.7551 0.8110  1 O 0.99
H34 0.4629 0.2449 0.6890  1 O 0.99
H35 0.0371 0.2449 0.1890  1 O 0.99
H36 0.5371 0.7551 0.3110  1 O 0.99
H37 0.9653 0.4955 0.7964  1 O 0.99
H38 0.4653 0.5045 0.7036  1 O 0.99
H39 0.0347 0.5045 0.2036  1 O 0.99
H40 0.5347 0.4955 0.2964  1 O 0.99
S1 0.9335 0.0977 0.8889  1 S 2.05
S2 0.4335 0.9023 0.6111  1 S 2.05
S3 0.0665 0.9023 0.1111  1 S 2.05
S4 0.5665 0.0977 0.3889  1 S 2.05
S5 0.8574 0.1461 0.7229  3 O 1.48-1.50
S6 0.3574 0.8539 0.7771  3 O 1.48-1.50
S7 0.1426 0.8539 0.2771  3 O 1.48-1.50
S8 0.6426 0.1461 0.2229  3 O 1.48-1.50
O1 0.8706 0.3367 0.5637  1 S 1.48
O2 0.3706 0.6633 0.9363  1 S 1.48
O3 0.1294 0.6633 0.4363  1 S 1.48
O4 0.6294 0.3367 0.0637  1 S 1.48
O5 0.8433 0.9297 0.6694  1 S 1.48
O6 0.3433 0.0703 0.8306  1 S 1.48
O7 0.1567 0.0703 0.3306  1 S 1.48
O8 0.6567 0.9297 0.1694  1 S 1.48
O9 0.8041 0.2039 0.8312  1 S 1.50
O10 0.3041 0.7961 0.6688  1 S 1.50
O11 0.1959 0.7961 0.1688  1 S 1.50
O12 0.6959 0.2039 0.3312  1 S 1.50
O13 0.7683 0.6207 0.9051  2 H 0.99
O14 0.2683 0.3793 0.5949  2 H 0.99
O15 0.2317 0.3793 0.0949  2 H 0.99
O16 0.7317 0.6207 0.4051  2 H 0.99
O17 0.6870 0.0919 0.7197  2 H 0.98-0.99
O18 0.1870 0.9081 0.7803  2 H 0.98-0.99
O19 0.3130 0.9081 0.2803  2 H 0.98-0.99
O20 0.8130 0.0919 0.2197  2 H 0.98-0.99
O21 0.6331 0.6175 0.6403  2 H 0.99-1.00
O22 0.1331 0.3825 0.8597  2 H 0.99-1.00
O23 0.3669 0.3825 0.3597  2 H 0.99-1.00
O24 0.8669 0.6175 0.1403  2 H 0.99-1.00
O25 0.5522 0.8619 0.8943  2 H 0.99
O26 0.0522 0.1381 0.6057  2 H 0.99
O27 0.4478 0.1381 0.1057  2 H 0.99
O28 0.9478 0.8619 0.3943  2 H 0.99
O29 0.9836 0.6495 0.7483  2 H 0.99
O30 0.4836 0.3505 0.7517  2 H 0.99
O31 0.0164 0.3505 0.2517  2 H 0.99
O32 0.5164 0.6495 0.2483  2 H 0.99

Calculated values
Its symmetry is P2_1/c, No. 14. The calculation puts the formation energy at -1414 meV/atom. Its total energy after the MP2020 corrections is -5.25 eV per atom.

***

Record 2
VASP calculation (PBE) on a relaxed NaH5S3O12 crystal.

abc: 5.9817 9.5890 13.0357
angles: 68.98 84.26 84.48
Closest atoms and distances in Å follow each position.
Sites, in units of the cell vectors:
Na1 0.8649 0.1924 0.3136  5 O 2.34-2.57
Na2 0.1351 0.8076 0.6864  5 O 2.34-2.57
H1 0.4468 0.5003 0.2419  1 O 0.98
H2 0.5532 0.4997 0.7581  1 O 0.98
H3 0.2090 0.3947 0.7611  1 O 1.00
H4 0.7910 0.6053 0.2389  1 O 1.00
H5 0.8207 0.1045 0.8342  1 O 0.98
H6 0.1793 0.8955 0.1658  1 O 0.98
H7 0.8225 0.1902 0.0332  1 S 1.39
H8 0.1775 0.8098 0.9668  1 S 1.39
H9 0.4465 0.1666 0.6300  1 S 1.39
H10 0.5535 0.8334 0.3700  1 S 1.39
S1 0.1358 0.7419 0.0797  1 H 1.39, 1 O 1.49
S2 0.8642 0.2581 0.9203  1 H 1.39, 1 O 1.49
S3 0.4163 0.2561 0.5215  1 H 1.39, 1 O 1.47
S4 0.5837 0.7439 0.4785  1 H 1.39, 1 O 1.47
S5 0.3181 0.2494 0.1792  3 O 1.48-1.49
S6 0.6819 0.7506 0.8208  3 O 1.48-1.49
O1 0.9036 0.6916 0.0945  1 S 1.49
O2 0.0964 0.3084 0.9055  1 S 1.49
O3 0.1874 0.3626 0.2189  1 S 1.49
O4 0.8126 0.6374 0.7811  1 S 1.49
O5 0.1611 0.7320 0.3596  1 O 1.23
O6 0.8389 0.2680 0.6404  1 O 1.23
O7 0.4738 0.5966 0.2477  1 H 0.98
O8 0.5262 0.4034 0.7523  1 H 0.98
O9 0.6100 0.2195 0.4547  1 S 1.47
O10 0.3900 0.7805 0.5453  1 S 1.47
O11 0.1952 0.1123 0.5295  1 O 1.30
O12 0.8048 0.8877 0.4705  1 O 1.30
O13 0.8017 0.9018 0.5664  1 O 1.30
O14 0.1983 0.0982 0.4336  1 O 1.30
O15 0.6836 0.5645 0.3044  1 H 1.00
O16 0.3164 0.4355 0.6956  1 H 1.00
O17 0.5613 0.2327 0.1981  1 S 1.48
O18 0.4387 0.7673 0.8019  1 S 1.48
O19 0.2033 0.1076 0.2128  1 S 1.48
O20 0.7967 0.8924 0.7872  1 S 1.48
O21 0.1260 0.9061 0.0946  1 H 0.98
O22 0.8740 0.0939 0.9054  1 H 0.98
O23 0.0682 0.6129 0.3975  1 O 1.23
O24 0.9318 0.3871 0.6025  1 O 1.23

Calculated values
Its symmetry is P-1, No. 2. The calculation puts the formation energy at -984 meV/atom. Its total energy after the MP2020 corrections is -5.27 eV per atom.

***

Record 3
VASP calculation (PBE) on a relaxed NaHSO4 crystal.

abc: 7.6029 5.1883 9.4720
angles: 67.64 90.00 90.00
Closest atoms and distances in Å follow each position.
Sites, in units of the cell vectors:
Na1 0.0093 0.9869 0.2985  6 O 2.38-2.58
Na2 0.4907 0.9869 0.7985  6 O 2.38-2.58
Na3 0.9907 0.0131 0.7015  6 O 2.38-2.58
Na4 0.5093 0.0131 0.2015  6 O 2.38-2.58
H1 0.9615 0.6194 0.1270  1 O 1.00
H2 0.5385 0.6194 0.6270  1 O 1.00
H3 0.0385 0.3806 0.8730  1 O 1.00
H4 0.4615 0.3806 0.3730  1 O 1.00
S1 0.2263 0.5955 0.0638  4 O 1.45-1.61
S2 0.2737 0.5955 0.5638  4 O 1.45-1.61
S3 0.7737 0.4045 0.9362  4 O 1.45-1.61
S4 0.7263 0.4045 0.4362  4 O 1.45-1.61
O1 0.2432 0.3014 0.1656  1 S 1.47
O2 0.2568 0.3014 0.6656  1 S 1.47
O3 0.7568 0.6986 0.8344  1 S 1.47
O4 0.7432 0.6986 0.3344  1 S 1.47
O5 0.1701 0.6335 0.9080  1 S 1.48
O6 0.3299 0.6335 0.4080  1 S 1.48
O7 0.8299 0.3665 0.0920  1 S 1.48
O8 0.6701 0.3665 0.5920  1 S 1.48
O9 0.0713 0.7221 0.1335  1 H 1.00
O10 0.4287 0.7221 0.6335  1 H 1.00
O11 0.9287 0.2779 0.8665  1 H 1.00
O12 0.5713 0.2779 0.3665  1 H 1.00
O13 0.3798 0.7636 0.0621  1 S 1.45
O14 0.1202 0.7636 0.5621  1 S 1.45
O15 0.6202 0.2364 0.9379  1 S 1.45
O16 0.8798 0.2364 0.4379  1 S 1.45

Calculated values
Its symmetry is P2_1/c, No. 14. The calculation puts the formation energy at -1904 meV/atom. Its total energy after the MP2020 corrections is -6.00 eV per atom.

***

Record 4
VASP calculation (PBE) on a relaxed Na2H12SO11 crystal.

abc: 7.1807 7.1807 12.3477
angles: 73.09 73.09 89.97
Closest atoms and distances in Å follow each position.
Sites, in units of the cell vectors:
Na1 0.2599 0.0080 0.4822  6 O 2.40-2.61
Na2 0.5080 0.7599 0.9822  6 O 2.40-2.61
Na3 0.7421 0.9902 0.5178  6 O 2.40-2.61
Na4 0.4902 0.2421 0.0178  6 O 2.40-2.61
H1 0.9987 0.6548 0.5675  1 O 0.99
H2 0.9987 0.2762 0.5675  1 O 0.99
H3 0.1548 0.4987 0.0675  1 O 0.99
H4 0.1639 0.9382 0.0653  1 O 0.98
H5 0.4382 0.6639 0.5653  1 O 0.98
H6 0.4370 0.2702 0.5650  1 O 0.98
H7 0.7762 0.4987 0.0675  1 O 0.99
H8 0.7702 0.9370 0.0650  1 O 0.98
H9 0.0020 0.3352 0.4350  1 O 0.98
H10 0.0035 0.7292 0.4347  1 O 0.98
H11 0.8352 0.5020 0.9350  1 O 0.98
H12 0.8437 0.0662 0.9325  1 O 0.99
H13 0.5662 0.3437 0.4325  1 O 0.99
H14 0.5662 0.7223 0.4325  1 O 0.99
H15 0.2292 0.5035 0.9347  1 O 0.98
H16 0.2223 0.0662 0.9325  1 O 0.99
H17 0.1450 0.7648 0.7475  1 O 0.99
H18 0.1451 0.9869 0.7476  1 O 0.99
H19 0.2648 0.6450 0.2475  1 O 0.99
H20 0.4869 0.6451 0.2476  1 O 0.99
H21 0.8927 0.2345 0.2524  1 O 0.99
H22 0.8925 0.0123 0.2525  1 O 0.99
H23 0.7345 0.3927 0.7524  1 O 0.99
H24 0.5123 0.3925 0.7525  1 O 0.99
S1 0.1241 0.3741 0.7500  4 O 1.50
S2 0.8741 0.6241 0.2500  4 O 1.50
O1 0.0013 0.7755 0.5027  2 H 0.98-0.99
O2 0.0004 0.2207 0.5028  2 H 0.98-0.99
O3 0.2755 0.5013 0.0027  2 H 0.98-0.99
O4 0.2781 0.0040 0.9973  2 H 0.98-0.99
O5 0.5040 0.7781 0.4973  2 H 0.98-0.99
O6 0.5032 0.2235 0.4972  2 H 0.98-0.99
O7 0.7207 0.5004 0.0028  2 H 0.98-0.99
O8 0.7235 0.0032 0.9972  2 H 0.98-0.99
O9 0.3699 0.1199 0.2500  2 Na 2.61
O10 0.6199 0.8699 0.7500  2 Na 2.61
O11 0.9921 0.4119 0.6731  1 S 1.50
O12 0.9119 0.4921 0.1731  1 S 1.50
O13 0.9119 0.8330 0.1731  1 S 1.50
O14 0.3330 0.4119 0.6731  1 S 1.50
O15 0.0061 0.5850 0.3269  1 S 1.50
O16 0.0850 0.5061 0.8269  1 S 1.50
O17 0.0850 0.1651 0.8269  1 S 1.50
O18 0.6651 0.5850 0.3269  1 S 1.50
O19 0.1888 0.9014 0.6963  2 H 0.99
O20 0.4014 0.6888 0.1963  2 H 0.99
O21 0.5977 0.3851 0.8037  2 H 0.99
O22 0.8851 0.0977 0.3037  2 H 0.99

Calculated values
Its symmetry is Fdd2, No. 43. The calculation puts the formation energy at -1382 meV/atom. Its total energy after the MP2020 corrections is -5.30 eV per atom.

***

> What is the formula in the fourth record?

Na2H12SO11

***

> Which value of formation energy does entry 4 give?

-1382 meV/atom

***

> Number 1 is which compound?

NaH5SO4